Record 1
Entry from the Materials Project: Sr11Re4O24 after structural relaxation (GGA-PBE).

a b c (Å): 11.705 11.705 11.705
angles (deg): 119.63 119.63 90.64
Fractional positions:
Sr: 0.500 0.500 0.000
Sr: 0.250 0.750 0.500
Sr: 0.011 0.511 0.500
Sr: 0.261 0.261 0.000
Sr: 0.739 0.739 0.000
Sr: 0.489 0.989 0.500
Sr: 0.026 0.967 0.468
Sr: 0.308 0.276 0.559
Sr: 0.682 0.372 0.734
Sr: 0.698 0.932 0.810
Sr: 0.122 0.887 0.190
Sr: 0.637 0.948 0.266
Sr: 0.068 0.878 0.766
Sr: 0.052 0.318 0.690
Sr: 0.628 0.363 0.310
Sr: 0.113 0.302 0.234
Sr: 0.251 0.692 0.968
Sr: 0.033 0.501 0.059
Sr: 0.442 0.974 0.941
Sr: 0.724 0.283 0.032
Sr: 0.499 0.558 0.532
Sr: 0.717 0.749 0.441
Re: 0.875 0.625 0.250
Re: 0.375 0.125 0.750
Re: 0.375 0.625 0.250
Re: 0.375 0.625 0.750
Re: 0.375 0.125 0.250
Re: 0.875 0.625 0.750
Re: 0.875 0.125 0.250
Re: 0.875 0.125 0.750
O: 0.904 0.608 0.915
O: 0.738 0.154 0.795
O: 0.358 0.943 0.205
O: 0.693 0.988 0.085
O: 0.846 0.642 0.585
O: 0.012 0.096 0.705
O: 0.392 0.307 0.295
O: 0.057 0.262 0.415
O: 0.723 0.006 0.527
O: 0.946 0.973 0.217
O: 0.756 0.729 0.783
O: 0.479 0.196 0.473
O: 0.027 0.244 0.973
O: 0.804 0.277 0.283
O: 0.994 0.521 0.717
O: 0.271 0.054 0.027
O: 0.870 0.119 0.407
O: 0.213 0.120 0.251
O: 0.869 0.961 0.749
O: 0.711 0.463 0.593
O: 0.880 0.131 0.093
O: 0.537 0.130 0.249
O: 0.881 0.289 0.751
O: 0.039 0.787 0.907
O: 0.504 0.270 0.792
O: 0.462 0.754 0.734
O: 0.020 0.728 0.266
O: 0.478 0.712 0.208
O: 0.246 0.980 0.708
O: 0.288 0.496 0.766
O: 0.477 0.216 0.985
O: 0.242 0.727 0.761
O: 0.966 0.481 0.239
O: 0.231 0.492 0.015
O: 0.273 0.034 0.515
O: 0.508 0.523 0.739
O: 0.784 0.769 0.261
O: 0.519 0.758 0.485
O: 0.492 0.013 0.743
O: 0.499 0.742 0.979
O: 0.763 0.520 0.021
O: 0.270 0.749 0.257
O: 0.258 0.237 0.757
O: 0.251 0.508 0.521
O: 0.987 0.730 0.479
O: 0.480 0.501 0.243
O: 0.272 0.538 0.292
O: 0.730 0.522 0.234

V = 1140.09 Å³ per cell
electronic total energy = -7.252 eV/atom
space group = I4_1/a
energy relative to the elements = -2.88 eV per atom
E (MP2020) = -7.675 eV/atom

---

Record 2
Entry from the Materials Project: SrRe3O9 after structural relaxation (GGA-PBE).

a b c (Å): 9.304 9.334 9.371
angles (deg): 90.00 90.00 90.00
Fractional positions:
Sr: 0.177 0.821 0.822
Sr: 0.677 0.679 0.322
Sr: 0.177 0.179 0.178
Sr: 0.677 0.321 0.678
Re: 0.863 0.000 0.500
Re: 0.502 0.005 0.360
Re: 0.502 0.862 0.001
Re: 0.002 0.638 0.501
Re: 0.363 0.500 0.000
Re: 0.002 0.505 0.140
Re: 0.002 0.495 0.860
Re: 0.639 0.500 0.000
Re: 0.002 0.362 0.499
Re: 0.502 0.138 0.999
Re: 0.502 0.995 0.640
Re: 0.139 0.000 0.500
O: 0.661 0.000 0.000
O: 0.494 0.862 0.797
O: 0.296 0.994 0.639
O: 0.507 0.838 0.495
O: 0.002 0.995 0.663
O: 0.296 0.006 0.361
O: 0.502 0.862 0.206
O: 0.138 0.796 0.505
O: 0.638 0.704 0.005
O: 0.161 0.500 0.500
O: 0.860 0.795 0.496
O: 0.360 0.705 0.996
O: 0.994 0.638 0.297
O: 0.205 0.498 0.138
O: 0.502 0.495 0.837
O: 0.832 0.500 0.500
O: 0.007 0.662 0.995
O: 0.002 0.362 0.294
O: 0.205 0.502 0.862
O: 0.796 0.506 0.139
O: 0.002 0.638 0.706
O: 0.007 0.338 0.005
O: 0.502 0.505 0.163
O: 0.796 0.494 0.861
O: 0.994 0.362 0.703
O: 0.638 0.296 0.995
O: 0.138 0.204 0.495
O: 0.360 0.295 0.004
O: 0.860 0.205 0.504
O: 0.502 0.138 0.794
O: 0.705 0.002 0.638
O: 0.332 0.000 0.000
O: 0.002 0.005 0.337
O: 0.507 0.162 0.505
O: 0.705 0.998 0.362
O: 0.494 0.138 0.203

V = 813.79 Å³ per cell
electronic total energy = -8.200 eV/atom
space group = Pnn2
energy relative to the elements = -2.25 eV per atom
E (MP2020) = -8.676 eV/atom

---

Record 3
Entry from the Materials Project: Sr5Re12O36 after structural relaxation (GGA-PBE).

a b c (Å): 8.044 8.112 13.145
angles (deg): 90.04 90.05 109.57
Fractional positions:
Sr: 0.184 0.188 0.185
Sr: 0.001 0.637 0.000
Sr: 0.499 0.861 0.500
Sr: 0.854 0.498 0.500
Sr: 0.187 0.188 0.816
Re: 0.180 0.816 0.316
Re: 0.330 0.689 0.181
Re: 0.567 0.425 0.069
Re: 0.068 0.935 0.569
Re: 0.391 0.886 0.755
Re: 0.114 0.616 0.747
Re: 0.617 0.113 0.252
Re: 0.888 0.389 0.251
Re: 0.435 0.569 0.931
Re: 0.937 0.066 0.432
Re: 0.817 0.182 0.682
Re: 0.684 0.321 0.817
O: 0.166 0.835 0.164
O: 0.034 0.968 0.323
O: 0.325 0.672 0.033
O: 0.526 0.889 0.182
O: 0.114 0.477 0.177
O: 0.667 0.658 0.999
O: 0.329 0.328 0.999
O: 0.460 0.526 0.170
O: 0.171 0.819 0.468
O: 0.337 0.676 0.334
O: 0.711 0.005 0.355
O: 0.997 0.288 0.352
O: 0.788 0.491 0.146
O: 0.504 0.212 0.149
O: 0.972 0.613 0.322
O: 0.829 0.830 0.500
O: 0.164 0.162 0.500
O: 0.612 0.975 0.679
O: 0.839 0.169 0.171
O: 0.384 0.026 0.320
O: 0.673 0.332 0.336
O: 0.333 0.674 0.665
O: 0.028 0.386 0.679
O: 0.164 0.833 0.836
O: 0.208 0.505 0.856
O: 0.490 0.783 0.853
O: 0.003 0.709 0.645
O: 0.286 0.992 0.650
O: 0.676 0.339 0.665
O: 0.525 0.459 0.827
O: 0.818 0.170 0.531
O: 0.889 0.529 0.822
O: 0.473 0.116 0.821
O: 0.677 0.335 0.966
O: 0.968 0.035 0.674
O: 0.840 0.173 0.831

V = 808.16 Å³ per cell
electronic total energy = -8.175 eV/atom
space group = P1
energy relative to the elements = -2.30 eV per atom
E (MP2020) = -8.642 eV/atom

---

Record 4
Entry from the Materials Project: Sr2TbReO6 after structural relaxation (GGA-PBE).

a b c (Å): 5.921 5.921 5.921
angles (deg): 60.00 60.00 60.00
Fractional positions:
Sr: 0.250 0.250 0.250
Sr: 0.750 0.750 0.750
Tb: 0.500 0.500 0.500
Re: 0.000 0.000 0.000
O: 0.765 0.235 0.765
O: 0.235 0.235 0.765
O: 0.765 0.765 0.235
O: 0.765 0.235 0.235
O: 0.235 0.765 0.235
O: 0.235 0.765 0.765

V = 146.78 Å³ per cell
electronic total energy = -7.595 eV/atom
space group = Fm-3m
energy relative to the elements = -2.99 eV per atom
E (MP2020) = -8.007 eV/atom